1.
Density functional theory data (r²SCAN) for a relaxed LiGdO2 crystal.

```
LiGdO2
1.0
6.350 0.000 0.000
0.000 6.103 0.000
-3.277 0.000 5.606
Li Gd O
4 4 8
direct
0.194 0.162 0.414
0.194 0.338 0.914
0.806 0.662 0.086
0.806 0.838 0.586
0.273 0.634 0.531
0.273 0.866 0.031
0.727 0.134 0.969
0.727 0.366 0.469
0.051 0.605 0.737
0.051 0.895 0.237
0.476 0.187 0.130
0.476 0.313 0.630
0.524 0.687 0.370
0.524 0.813 0.870
0.949 0.105 0.763
0.949 0.395 0.263
```

Computed properties:
For the total moment, the calculation gives 28.0 Bohr magnetons per cell. Its theoretical density is 6.0 g/cm3. For the formation enthalpy at 0 K, the calculation gives -3092 meV/atom. The calculated total energy comes out at -280.394 eV for the cell shown. Its space-group type is P2_1/c, No. 14.



2.
Density functional theory data (r²SCAN) for a relaxed RuW crystal.

```
RuW
1.0
2.767 0.000 0.000
-1.383 2.396 0.000
0.000 0.000 4.462
Ru W
1 1
direct
0.000 0.000 0.000
0.667 0.333 0.500
```

Computed properties:
For the total moment, the calculation gives 0.0 Bohr magnetons per cell. Its theoretical density is 16.0 g/cm3. For the formation enthalpy at 0 K, the calculation gives 143 meV/atom. The calculated total energy comes out at -76.507 eV for the cell shown. Its space-group type is P-6m2, No. 187.



3.
Density functional theory data (r²SCAN) for a relaxed Hf2Mn crystal.

```
Hf2Mn
1.0
0.000 6.083 6.083
6.083 0.000 6.083
6.083 6.083 0.000
Hf Mn
16 8
direct
0.000 0.000 0.000
0.000 0.000 0.500
0.000 0.500 0.000
0.185 0.185 0.565
0.185 0.565 0.185
0.185 0.565 0.565
0.435 0.435 0.815
0.435 0.815 0.435
0.435 0.815 0.815
0.500 0.000 0.000
0.565 0.185 0.185
0.565 0.185 0.565
0.565 0.565 0.185
0.815 0.435 0.435
0.815 0.435 0.815
0.815 0.815 0.435
0.137 0.788 0.788
0.212 0.212 0.212
0.212 0.212 0.863
0.212 0.863 0.212
0.788 0.137 0.788
0.788 0.788 0.137
0.788 0.788 0.788
0.863 0.212 0.212
```

Computed properties:
For the total moment, the calculation gives 8.6 Bohr magnetons per cell. Its theoretical density is 12.2 g/cm3. For the formation enthalpy at 0 K, the calculation gives -72 meV/atom. The calculated total energy comes out at -841.622 eV for the cell shown. Its space-group type is Fd-3m, No. 227.



4.
Density functional theory data (r²SCAN) for a relaxed LiVO2F2 crystal.

```
LiVO2F2
1.0
6.150 0.000 0.000
0.000 3.477 0.000
-2.422 0.000 6.107
Li V O F
2 2 4 4
direct
0.170 0.000 0.199
0.830 0.500 0.801
0.348 0.998 0.766
0.652 0.498 0.234
0.192 0.998 0.510
0.403 0.498 0.849
0.597 0.998 0.151
0.808 0.498 0.490
0.109 0.998 0.885
0.354 0.499 0.253
0.646 0.999 0.747
0.891 0.498 0.115
```

Computed properties:
For the total moment, the calculation gives 0.0 Bohr magnetons per cell. Its theoretical density is 3.3 g/cm3. For the formation enthalpy at 0 K, the calculation gives -2798 meV/atom. The calculated total energy comes out at -102.922 eV for the cell shown. Its space-group type is P2_1, No. 4.